# 1
Entry from the Materials Project database: a geometry-optimized Li5Cr5O12 structure (PBE with a Hubbard U).

Geometry as POSCAR:
```
Li5Cr5O12
1.0
5.0685 0.0000 0.0000
2.5222 4.4177 0.0000
1.5529 -0.0276 19.4642
Li Cr O
10 10 24
Direct
0.0000 0.0000 0.0000
0.0350 0.6827 0.8769
0.0797 0.3567 0.7527
0.2658 0.9994 0.2540
0.3272 0.3493 0.9995
0.4049 0.6859 0.7527
0.5008 0.9981 0.4990
0.5457 0.6746 0.3764
0.5876 0.3533 0.2541
0.8235 0.3550 0.4990
0.1232 0.0119 0.6263
0.2124 0.3418 0.3766
0.2931 0.6798 0.1265
0.3840 0.0029 0.8765
0.4601 0.3472 0.6262
0.6283 0.0093 0.1265
0.7268 0.3367 0.8763
0.7955 0.6814 0.6268
0.8785 0.0074 0.3766
0.9570 0.3517 0.1266
0.0344 0.2987 0.9317
0.0867 0.0354 0.8202
0.1180 0.6796 0.6811
0.1416 0.3317 0.5733
0.1664 0.0591 0.4317
0.2135 0.6743 0.3257
0.2914 0.3317 0.1797
0.3096 0.0202 0.0733
0.3772 0.6967 0.9286
0.4169 0.3068 0.8250
0.4268 0.0131 0.6793
0.4776 0.6871 0.5717
0.5397 0.0589 0.3214
0.5512 0.2900 0.4318
0.6027 0.6860 0.1811
0.6425 0.3321 0.0731
0.6667 0.0469 0.9302
0.7049 0.6557 0.8221
0.7825 0.3467 0.6802
0.8123 0.0197 0.5732
0.8778 0.6742 0.4274
0.9250 0.2898 0.3213
0.9365 0.0188 0.1795
0.9773 0.6865 0.0718
```

Summary:
crystal system: triclinic
VASP energy: -6.662 eV/atom
energy relative to the elements: -2164.6 meV per atom



# 2
Entry from the Materials Project database: a geometry-optimized Li2CrO3 structure (PBE with a Hubbard U).

Geometry as POSCAR:
```
Li2CrO3
1.0
6.3115 -1.4553 0.0000
6.3115 1.4553 0.0000
-1.4648 0.0000 5.7871
Li Cr O
4 2 6
Direct
0.0000 0.0000 0.0000
0.0000 0.0000 0.5000
0.3398 0.3398 0.6645
0.6602 0.6602 0.3355
0.3427 0.3427 0.1759
0.6573 0.6573 0.8241
0.1694 0.1694 0.6142
0.1730 0.1730 0.0617
0.4884 0.4884 0.2436
0.5116 0.5116 0.7564
0.8270 0.8270 0.9383
0.8306 0.8306 0.3858
```

Summary:
energy relative to the lowest polymorph listed for this composition: 45 meV per atom
crystal system: monoclinic
VASP energy: -6.247 eV/atom
energy relative to the elements: -2204.2 meV per atom



# 3
Entry from the Materials Project database: a geometry-optimized Li2Cr2O7 structure (PBE with a Hubbard U).

Geometry as POSCAR:
```
Li2Cr2O7
1.0
6.7430 0.0000 0.0000
0.0000 8.3705 0.0000
-1.8876 0.0000 9.4423
Li Cr O
8 8 28
Direct
0.1447 0.1196 0.4646
0.1447 0.3804 0.9646
0.3053 0.1171 0.1858
0.3053 0.3829 0.6858
0.6947 0.6171 0.3142
0.6947 0.8829 0.8142
0.8553 0.6196 0.0354
0.8553 0.8804 0.5354
0.1893 0.0155 0.8164
0.1893 0.4845 0.3164
0.3541 0.7453 0.0302
0.3541 0.7547 0.5302
0.6459 0.2453 0.4698
0.6459 0.2547 0.9698
0.8107 0.5155 0.6836
0.8107 0.9845 0.1836
0.0232 0.0780 0.2449
0.0232 0.4220 0.7449
0.1555 0.6283 0.9904
0.1555 0.8717 0.4904
0.1665 0.1259 0.9523
0.1665 0.3741 0.4523
0.2538 0.1268 0.6926
0.2538 0.3732 0.1926
0.3183 0.6286 0.6500
0.3183 0.8714 0.1500
0.3829 0.6317 0.3799
0.3829 0.8683 0.8799
0.4426 0.1398 0.4092
0.4426 0.3602 0.9092
0.5574 0.6398 0.0908
0.5574 0.8602 0.5908
0.6171 0.1317 0.1201
0.6171 0.3683 0.6201
0.6817 0.1286 0.8500
0.6817 0.3714 0.3500
0.7462 0.6268 0.8074
0.7462 0.8732 0.3074
0.8335 0.6259 0.5477
0.8335 0.8741 0.0477
0.8445 0.1283 0.5096
0.8445 0.3717 0.0096
0.9768 0.5780 0.2551
0.9768 0.9220 0.7551
```

Summary:
energy relative to the lowest polymorph listed for this composition: 8 meV per atom
crystal system: monoclinic
VASP energy: -6.322 eV/atom
energy relative to the elements: -1871.9 meV per atom



# 4
Entry from the Materials Project database: a geometry-optimized Li2Cr2O7 structure (PBE with a Hubbard U).

Geometry as POSCAR:
```
Li2Cr2O7
1.0
6.5627 0.0000 0.0000
0.8006 6.7165 0.0000
0.0261 2.6950 6.5783
Li Cr O
4 4 14
Direct
0.1268 0.2030 0.3540
0.3137 0.3913 0.7370
0.6863 0.6087 0.2630
0.8732 0.7970 0.6460
0.1597 0.7364 0.2534
0.3919 0.8404 0.8146
0.6081 0.1596 0.1854
0.8403 0.2636 0.7466
0.0361 0.3329 0.8375
0.0778 0.9159 0.3481
0.2434 0.6898 0.7590
0.2772 0.5222 0.4336
0.3346 0.8426 0.0609
0.3566 0.0861 0.6458
0.3676 0.2640 0.1698
0.6324 0.7360 0.8302
0.6434 0.9139 0.3542
0.6654 0.1574 0.9391
0.7228 0.4778 0.5664
0.7566 0.3102 0.2410
0.9222 0.0841 0.6519
0.9639 0.6671 0.1625
```

Summary:
energy relative to the lowest polymorph listed for this composition: 32 meV per atom
crystal system: triclinic
VASP energy: -6.298 eV/atom
energy relative to the elements: -1847.6 meV per atom



# 5
Entry from the Materials Project database: a geometry-optimized Li2Cr2O7 structure (PBE with a Hubbard U).

Geometry as POSCAR:
```
Li2Cr2O7
1.0
5.4328 0.0000 0.0000
-0.0774 7.6212 0.0000
-1.6920 -1.6505 7.4580
Li Cr O
4 4 14
Direct
0.1952 0.2473 0.3114
0.2341 0.7243 0.9209
0.7659 0.2757 0.0791
0.8048 0.7527 0.6886
0.2193 0.2509 0.8639
0.2453 0.7371 0.4765
0.7547 0.2629 0.5235
0.7807 0.7491 0.1361
0.0243 0.8410 0.3282
0.1167 0.2285 0.0438
0.1701 0.7774 0.6748
0.2244 0.5223 0.3926
0.2648 0.4627 0.8657
0.4635 0.1886 0.4987
0.4893 0.1579 0.8707
0.5107 0.8421 0.1293
0.5365 0.8114 0.5013
0.7352 0.5373 0.1343
0.7756 0.4777 0.6074
0.8299 0.2226 0.3252
0.8833 0.7715 0.9562
0.9757 0.1590 0.6718
```

Summary:
energy relative to the lowest polymorph listed for this composition: 24 meV per atom
crystal system: triclinic
VASP energy: -6.306 eV/atom
energy relative to the elements: -1855.9 meV per atom



# 6
Entry from the Materials Project database: a geometry-optimized Li2Cr4O13 structure (PBE with a Hubbard U).

Geometry as POSCAR:
```
Li2Cr4O13
1.0
8.5134 0.0000 0.0000
0.0000 9.6075 0.0000
-3.2671 0.0000 14.5084
Li Cr O
8 16 52
Direct
0.1894 0.0007 0.0172
0.1894 0.4993 0.5172
0.3092 0.0013 0.4932
0.3092 0.4987 0.9932
0.6908 0.5013 0.0068
0.6908 0.9987 0.5068
0.8106 0.5007 0.4828
0.8106 0.9993 0.9828
0.0299 0.2149 0.5955
0.0299 0.2851 0.0955
0.2497 0.2232 0.8242
0.2497 0.2768 0.3242
0.3623 0.7414 0.6811
0.3623 0.7586 0.1811
0.4589 0.7109 0.4085
0.4589 0.7891 0.9085
0.5411 0.2109 0.0915
0.5411 0.2891 0.5915
0.6377 0.2414 0.8189
0.6377 0.2586 0.3189
0.7503 0.7232 0.6758
0.7503 0.7768 0.1758
0.9701 0.7149 0.9045
0.9701 0.7851 0.4045
0.0080 0.1269 0.0522
0.0080 0.3731 0.5522
0.1180 0.2222 0.7193
0.1180 0.2778 0.2193
0.1452 0.1227 0.5457
0.1452 0.3773 0.0457
0.1451 0.6414 0.9195
0.1451 0.8586 0.4195
0.1886 0.1180 0.8930
0.1886 0.3820 0.3930
0.2261 0.6286 0.6395
0.2261 0.8714 0.1395
0.2657 0.1231 0.3677
0.2657 0.3769 0.8677
0.3411 0.6230 0.1165
0.3410 0.7120 0.2896
0.3410 0.7880 0.7896
0.3411 0.8770 0.6165
0.3675 0.6200 0.4733
0.3675 0.8800 0.9733
0.3693 0.1390 0.0927
0.3693 0.3610 0.5927
0.4447 0.1682 0.8132
0.4447 0.3318 0.3132
0.4915 0.6298 0.9491
0.4915 0.8702 0.4491
0.5085 0.1298 0.5509
0.5085 0.3702 0.0509
0.5553 0.6682 0.6868
0.5553 0.8318 0.1868
0.6307 0.6390 0.4073
0.6307 0.8610 0.9073
0.6325 0.1200 0.0267
0.6325 0.3800 0.5267
0.6589 0.1230 0.3835
0.6590 0.2120 0.2104
0.6590 0.2880 0.7104
0.6589 0.3770 0.8835
0.7343 0.6231 0.1323
0.7343 0.8769 0.6323
0.7739 0.1286 0.8605
0.7739 0.3714 0.3605
0.8114 0.6180 0.6070
0.8114 0.8820 0.1070
0.8549 0.1414 0.5805
0.8549 0.3586 0.0805
0.8548 0.6227 0.9543
0.8548 0.8773 0.4543
0.8820 0.7222 0.7807
0.8820 0.7778 0.2807
0.9920 0.6269 0.4478
0.9920 0.8731 0.9478
```

Summary:
energy relative to the lowest polymorph listed for this composition: 0 meV per atom
crystal system: monoclinic
VASP energy: -6.458 eV/atom
energy relative to the elements: -1730.5 meV per atom



# 7
Entry from the Materials Project database: a geometry-optimized Li4CrO4 structure (PBE with a Hubbard U).

Geometry as POSCAR:
```
Li4CrO4
1.0
3.9694 3.7255 0.0000
-7.9387 7.4510 0.0000
0.0000 0.0000 6.1696
Li O Cr
16 16 4
Direct
0.5788 0.4372 0.2500
0.4212 0.5628 0.7500
0.8390 0.5805 0.5000
0.5788 0.9372 0.2500
0.1610 0.4195 0.5000
0.1610 0.9195 0.0000
0.8390 0.0805 0.5000
0.4212 0.0628 0.7500
0.1256 0.7106 0.7500
0.1610 0.9195 0.5000
0.8744 0.7894 0.2500
0.8390 0.0805 0.0000
0.8744 0.2894 0.2500
0.8390 0.5805 0.0000
0.1256 0.2106 0.7500
0.1610 0.4195 0.0000
0.3407 0.8672 0.7500
0.7343 0.6703 0.7500
0.3407 0.3672 0.7500
0.7343 0.1703 0.7500
0.6593 0.1328 0.2500
0.2032 0.6016 0.0050
0.2657 0.3297 0.2500
0.2032 0.6016 0.4950
0.2657 0.8297 0.2500
0.7968 0.8984 0.5050
0.7968 0.3984 0.9950
0.2032 0.1016 0.4950
0.2032 0.1016 0.0050
0.6593 0.6328 0.2500
0.7968 0.3984 0.5050
0.7968 0.8984 0.9950
0.6608 0.8304 0.7500
0.3392 0.6696 0.2500
0.3392 0.1696 0.2500
0.6609 0.3304 0.7500
```

Summary:
energy relative to the lowest polymorph listed for this composition: 0 meV per atom
VASP energy: -5.771 eV/atom
energy relative to the elements: -2178.2 meV per atom



# 8
Entry from the Materials Project database: a geometry-optimized LiCr3O4 structure (PBE with a Hubbard U).

Geometry as POSCAR:
```
LiCr3O4
1.0
3.3073 -4.1754 0.0000
3.3073 4.1754 0.0000
-0.5283 0.0000 3.1320
Li Cr O
1 3 4
Direct
0.0000 0.0000 0.0000
0.0000 0.5000 0.5000
0.5000 0.0000 0.5000
0.5000 0.5000 0.0000
0.2561 0.7439 0.0000
0.2884 0.2884 0.4394
0.7116 0.7116 0.5606
0.7439 0.2561 0.0000
```

Summary:
crystal system: monoclinic
VASP energy: -7.295 eV/atom
energy relative to the elements: -2055.6 meV per atom



Table of volume (Å³/cell), in record order: 435.8, 106.3, 533.0, 290.0, 308.8, 1186.7, 364.9, 86.5